The following is a PBE calculation of an optimized crystal structure of Nd2InNi2, from Materials Project.

It has space group Pbam (No. 55), with a = 7.5333 Å, b = 7.7220 Å, c = 3.7739 Å, α = 90.00°, β = 90.00° and γ = 90.00°. The distinct sites, in fractional coordinates, are Nd at (0.1702, 0.1827, 0.0000), In at (0.0000, 0.5000, 0.5000) and Ni at (0.1246, 0.8898, 0.5000).

The calculation puts the formation energy from the elements at -0.426 eV per atom. The total DFT energy (no corrections) is -26.0 eV per formula unit.